No. 1
The following is a DFT calculation (GGA-PBE) of a relaxed structure of Na10Sc7NbP12O48.

POSCAR file:
```
Na10Sc7NbP12O48
1.0
8.9865 0.0000 0.0000
-0.0141 15.5387 0.0000
-0.0040 -0.0065 22.7634
Na Sc Nb P O
30 21 3 36 144
Cartesian
0.0000 0.0000 0.0000 Na
-0.0043 4.6973 7.5516 Na
-0.0049 9.8870 0.0085 Na
1.1941 12.4345 18.9276 Na
1.2197 2.1181 11.3891 Na
1.2160 7.7651 11.3781 Na
1.6181 12.7103 11.3858 Na
2.7747 4.9467 17.0084 Na
2.8551 4.9605 5.6986 Na
2.8390 15.3050 1.9372 Na
2.8412 15.3004 13.2860 Na
2.8886 10.0539 20.7664 Na
2.9352 10.1107 9.3921 Na
4.0733 12.7116 0.0110 Na
4.4800 7.7694 22.7616 Na
4.4981 2.1173 0.0068 Na
5.6946 4.6654 18.9244 Na
5.7083 5.1867 3.8358 Na
5.7086 9.8910 11.3740 Na
5.7067 15.5345 11.3852 Na
6.1181 4.9390 11.3788 Na
6.1380 10.1228 3.8270 Na
7.2610 12.7157 17.0086 Na
7.2931 2.2979 9.3920 Na
7.3319 12.8334 5.6943 Na
7.3414 7.5310 13.2822 Na
7.3895 2.2826 20.7665 Na
7.4315 7.5299 1.9750 Na
8.5705 4.9412 0.0071 Na
8.9711 10.3748 7.5508 Na
2.7792 4.9355 2.3556 Sc
2.7873 4.9454 20.3716 Sc
2.8228 10.1361 1.5781 Sc
2.8476 10.1194 12.9691 Sc
2.8556 4.9406 13.7524 Sc
2.8471 15.3022 9.8261 Sc
2.8469 15.3162 21.2039 Sc
2.8810 10.0709 17.4584 Sc
2.8921 10.0993 6.0976 Sc
2.9305 4.9439 9.0244 Sc
7.2740 12.7158 20.3731 Sc
7.2825 12.7670 9.0043 Sc
7.3229 2.3084 6.1087 Sc
7.3212 7.5367 9.8126 Sc
7.3443 7.5477 21.2086 Sc
7.3600 2.3254 1.5811 Sc
7.3515 2.3514 12.9694 Sc
7.3426 12.7105 13.7509 Sc
7.3813 2.3017 17.4587 Sc
7.3812 12.7677 2.3627 Sc
7.3968 7.5257 5.2913 Sc
2.8334 15.3044 5.2609 Nb
2.8534 15.3122 16.5872 Nb
7.3542 7.5434 16.5874 Nb
0.1993 10.1275 3.8064 P
0.2293 4.9371 11.3593 P
0.2181 15.3174 18.9723 P
0.9767 12.7065 22.7250 P
0.9986 2.3646 15.1815 P
1.0153 7.5320 7.6048 P
1.5153 12.3959 15.2063 P
1.5315 2.0386 7.5963 P
1.5372 2.6713 22.7531 P
1.5312 13.0193 7.5938 P
1.5399 7.2091 22.7493 P
1.5411 7.8331 15.1774 P
4.1571 7.2107 11.3887 P
4.1663 7.8305 3.7810 P
4.1611 12.4144 3.7923 P
4.1538 13.0308 18.9586 P
4.1702 2.6738 11.3913 P
4.1784 2.0328 18.9677 P
4.7086 2.3439 3.7901 P
4.7189 7.5479 18.9726 P
4.7164 12.7085 11.3884 P
5.4766 4.9329 22.7553 P
5.4661 15.3109 7.5913 P
5.4848 10.1340 15.1807 P
6.0162 4.6268 15.2065 P
6.0063 9.8261 7.5782 P
6.0200 5.2388 7.5601 P
6.0264 10.4503 0.0138 P
6.0419 0.0635 15.1779 P
6.0266 14.9732 22.7554 P
8.6537 5.2621 18.9591 P
8.6434 14.9793 11.3825 P
8.6689 4.6310 3.8113 P
8.6641 9.8023 18.9680 P
8.6560 10.4496 11.3580 P
8.6760 0.0777 3.8064 P
8.9800 2.5155 0.1270 O
-0.0091 7.3692 22.6159 O
-0.0043 12.8927 7.6367 O
0.0118 2.2034 7.4307 O
0.0082 12.5962 15.0575 O
0.0854 7.2935 6.3937 O
0.0771 12.9615 1.1788 O
0.0962 2.5327 16.3949 O
0.1265 12.4632 21.4566 O
0.1490 7.7677 8.8792 O
0.2011 2.0788 13.8846 O
1.0511 9.9345 2.5162 O
1.0687 4.6853 10.0827 O
1.0705 10.3143 5.0525 O
1.0595 15.4952 20.2578 O
1.1359 5.1866 12.5708 O
1.1901 5.1612 19.0284 O
1.2042 4.7822 3.6648 O
1.1981 9.9826 18.8126 O
1.2073 15.1460 11.2412 O
1.2193 10.2901 11.5169 O
1.2177 15.1225 17.7604 O
1.2493 15.4741 4.0168 O
1.6941 8.6661 13.8819 O
1.7606 3.5672 21.5203 O
1.7605 6.3212 1.2156 O
1.7927 1.2102 8.8646 O
1.8074 11.5704 16.4603 O
1.8460 8.8247 7.4629 O
1.8522 6.2396 7.7269 O
1.9026 1.0617 15.4022 O
1.8913 11.4531 0.1111 O
1.8958 13.9597 6.3672 O
1.8950 13.9676 22.6203 O
1.9281 3.5676 15.0493 O
2.1165 6.4252 15.0472 O
2.1209 13.6579 8.8622 O
2.1339 8.5302 16.3925 O
2.1410 11.6211 7.4199 O
2.1631 1.2547 6.3705 O
2.1730 1.2493 22.6224 O
2.1767 3.4356 7.6354 O
2.1752 8.6364 0.1256 O
2.1663 11.8225 13.9231 O
2.2079 3.3095 1.2189 O
2.2040 6.5679 21.5164 O
2.1935 13.8351 15.3974 O
3.4461 11.6725 18.8008 O
3.5024 3.3101 12.6138 O
3.4982 6.5781 10.1487 O
3.5094 13.8389 4.0050 O
3.5274 3.4327 19.0323 O
3.5239 8.6344 11.5257 O
3.5388 1.2489 11.2475 O
3.5240 13.6540 20.2324 O
3.5448 1.2592 17.7511 O
3.5411 11.8557 2.4860 O
3.5489 8.5241 4.9885 O
3.5928 6.3999 3.6522 O
3.7945 1.0732 4.0017 O
3.8002 11.4480 11.5248 O
3.7939 13.9661 11.2460 O
3.7929 13.9670 17.7413 O
3.8402 3.6108 3.6493 O
3.8368 8.7790 18.8176 O
3.9033 11.5030 4.9839 O
3.9249 1.2112 20.2476 O
3.9252 6.2197 19.0363 O
3.9408 6.3147 12.6133 O
3.9491 3.5583 10.1510 O
3.9511 8.6949 2.4964 O
4.4458 15.4749 15.3933 O
4.4598 15.1620 6.3661 O
4.4779 10.2868 0.1260 O
4.4857 9.9742 7.4564 O
4.4779 15.1388 22.6195 O
4.4978 5.0973 7.6976 O
4.5089 4.8274 15.0588 O
4.5833 10.3028 16.3953 O
4.6086 4.6980 21.4952 O
4.6126 5.1800 1.2432 O
4.6256 15.4978 8.8700 O
4.6865 9.8482 13.8850 O
5.5106 2.0812 2.4884 O
5.5596 7.7257 20.2586 O
5.5945 12.4560 10.1468 O
5.6010 12.9692 12.6119 O
5.6258 2.5795 4.9827 O
5.6763 12.9291 19.0304 O
5.6988 2.2131 18.8133 O
5.6937 12.5389 3.6555 O
5.7075 7.3743 11.2464 O
5.7207 2.5136 11.5256 O
5.7177 7.3524 17.7609 O
5.7220 7.7108 3.8972 O
6.1945 0.8966 13.8818 O
6.2483 14.0882 1.2229 O
6.2677 11.3488 21.5544 O
6.2809 8.9842 8.8572 O
6.2994 6.0918 6.3008 O
6.3085 3.8011 16.4606 O
6.2998 14.0253 7.6268 O
6.3380 1.0226 7.4139 O
6.3959 3.6772 0.1266 O
6.3889 8.8310 15.4028 O
6.3936 6.1946 22.6266 O
6.4176 11.3351 15.0477 O
6.6048 14.1954 15.0504 O
6.6330 0.7619 16.3931 O
6.6623 5.8830 8.8305 O
6.6622 9.1720 6.3298 O
6.6805 0.8614 0.1280 O
6.6672 4.0524 13.9234 O
6.6627 9.0247 22.6285 O
6.6630 11.0578 1.2802 O
6.6948 6.0655 15.3974 O
6.6896 14.3358 21.5193 O
6.7410 3.8651 7.4562 O
6.7347 11.1959 7.7119 O
7.9460 3.9034 18.8009 O
7.9528 6.0120 3.8997 O
7.9867 11.1067 12.5714 O
7.9824 14.3466 10.1412 O
8.0214 0.8633 11.5207 O
8.0243 3.9883 2.5325 O
8.0110 11.2012 19.0305 O
8.0237 5.8852 20.2330 O
8.0239 9.0215 11.2447 O
8.0314 9.0281 17.7508 O
8.0651 0.7671 5.0079 O
8.0715 14.2075 3.6719 O
8.2523 8.8823 3.8997 O
8.2472 11.3624 3.6677 O
8.2999 3.6760 11.5184 O
8.2928 6.1964 11.2405 O
8.2923 6.1973 17.7411 O
8.3375 1.0105 18.8174 O
8.3831 3.7867 5.0609 O
8.4108 8.9799 20.2477 O
8.4102 13.9903 19.0342 O
8.4279 14.0848 12.6077 O
8.4499 11.3036 10.0818 O
8.5165 0.8886 2.4937 O
8.9465 7.7055 15.3929 O
```

## Properties
ΔE_f ... -70.3 kcal/mol of atoms
ρ ... 2.8 g/cm³
Final energy ... -7.37 eV per atom

No. 2
The following is a DFT calculation (GGA-PBE) of a relaxed structure of H10IrC2Cl3O3.

POSCAR file:
```
H10IrC2Cl3O3
1.0
7.3876 0.0000 0.0000
0.1605 7.5374 0.0000
2.3726 2.5469 8.2167
H Ir C Cl O
20 2 4 6 6
Cartesian
0.6764 3.4740 2.0863 H
1.2882 5.7330 2.2905 H
2.6289 4.6485 7.0504 H
1.5524 5.7152 0.5132 H
2.7122 7.4998 4.1461 H
3.6036 9.4721 6.4258 H
3.2341 6.0166 4.3574 H
4.2949 7.4130 5.7727 H
5.1395 9.6956 7.3466 H
5.0026 2.1594 5.5531 H
4.9181 7.9249 2.6636 H
4.7812 0.3887 0.8701 H
5.6258 2.6713 2.4440 H
6.6866 4.0677 3.8593 H
6.3171 0.6122 1.7909 H
7.2085 2.5845 4.0706 H
8.3683 4.3691 7.7035 H
7.2917 5.4359 1.1663 H
8.6324 4.3513 5.9262 H
9.2443 6.6103 6.1304 H
3.1611 3.0919 1.5461 Ir
6.7596 6.9924 6.6706 Ir
0.9796 5.2918 1.3369 C
4.6845 9.2722 6.4436 C
5.2361 0.8122 1.7731 C
8.9411 4.7925 6.8798 C
2.0100 1.1300 2.1700 Cl
3.2246 3.8207 3.7719 Cl
5.5844 5.0562 7.4414 Cl
4.3362 5.0281 0.7753 Cl
6.6960 6.2636 4.4448 Cl
7.9107 8.9543 6.0467 Cl
1.2248 3.8528 1.3362 O
3.0470 6.8676 4.8305 O
4.8579 7.8309 6.5014 O
5.0628 2.2534 1.7153 O
6.8736 3.2168 3.3863 O
8.6959 6.2315 6.8805 O
```

## Properties
ΔE_f ... -15.4 kcal/mol of atoms
ρ ... 2.8 g/cm³
Final energy ... -4.86 eV per atom

No. 3
The following is a DFT calculation (GGA-PBE) of a relaxed structure of Eu4Ti3O10.

POSCAR file:
```
Eu4Ti3O10
1.0
-1.9697 1.9697 13.9632
1.9697 -1.9697 13.9632
1.9697 1.9697 -13.9632
Eu Ti O
4 3 10
Cartesian
0.0000 0.0000 1.9006 Eu
0.0000 0.0000 5.6332 Eu
0.0000 0.0000 22.2932 Eu
0.0000 0.0000 26.0258 Eu
0.0000 0.0000 10.0328 Ti
0.0000 0.0000 13.9632 Ti
0.0000 0.0000 17.8936 Ti
1.9697 0.0000 0.0000 O
1.9697 0.0000 3.9089 O
0.0000 0.0000 8.0406 O
1.9697 0.0000 10.0543 O
0.0000 0.0000 12.0084 O
0.0000 1.9697 0.0000 O
0.0000 0.0000 15.9179 O
0.0000 1.9697 3.9089 O
0.0000 0.0000 19.8858 O
0.0000 1.9697 10.0543 O
```

## Properties
ΔE_f ... -81.2 kcal/mol of atoms
ρ ... 7.0 g/cm³
Final energy ... -9.83 eV per atom

No. 4
The following is a DFT calculation (GGA-PBE) of a relaxed structure of BaCuSi2O6.

POSCAR file:
```
BaCuSi2O6
1.0
-5.0427 5.0427 11.3989
5.0427 -5.0427 11.3989
5.0427 5.0427 -11.3989
Ba Cu Si O
8 8 16 48
Cartesian
2.5098 -2.4057 5.6994 Ba
7.4484 2.5098 0.0000 Ba
2.4057 2.5328 0.0000 Ba
2.5328 7.4484 -5.6994 Ba
2.5328 2.6369 5.6994 Ba
2.6369 2.5098 11.3989 Ba
-2.4057 2.5328 11.3989 Ba
2.5098 2.4057 17.0983 Ba
5.0427 0.0000 1.5487 Cu
5.0427 0.0000 4.2146 Cu
0.0000 0.0000 7.2482 Cu
0.0000 0.0000 9.9140 Cu
0.0000 5.0427 1.5487 Cu
0.0000 5.0427 4.2146 Cu
0.0000 0.0000 18.6470 Cu
0.0000 0.0000 21.3129 Cu
5.0277 2.2627 -2.8065 Si
7.8226 -0.0150 2.8929 Si
2.2627 0.0150 2.8929 Si
5.0277 -2.2627 8.5923 Si
-0.0026 2.2623 2.8735 Si
2.2623 5.0401 -2.8260 Si
2.7804 0.0026 8.5729 Si
5.0401 2.7804 2.8735 Si
5.0577 2.2627 8.5923 Si
2.2627 -0.0150 14.2918 Si
2.7799 5.0577 2.8929 Si
0.0150 2.7799 8.5923 Si
0.0026 2.2623 14.2724 Si
-2.2623 5.0401 8.5729 Si
2.2623 5.0453 8.5729 Si
0.0026 7.8231 2.8735 Si
5.3687 -3.1118 7.2498 O
6.2910 1.2545 -2.4523 O
1.2545 -1.2483 3.2472 O
3.1118 -0.3260 1.5503 O
6.9736 0.3260 1.5503 O
5.3687 3.1118 -4.1491 O
4.7612 -3.0960 9.9641 O
6.9894 -0.2815 4.2647 O
3.0960 0.2815 4.2647 O
3.7010 -1.3357 8.2317 O
1.3357 1.3416 2.5322 O
4.7612 3.0960 -1.4347 O
4.7010 1.9505 1.5176 O
3.7881 6.2910 -8.1517 O
1.2483 3.7881 -2.4523 O
3.0922 4.7010 -4.1818 O
1.9505 0.3417 7.2171 O
-0.3417 3.0922 1.5176 O
5.3120 1.9362 4.2374 O
1.9362 -0.2693 9.9368 O
3.1065 5.3120 -1.4621 O
6.3783 3.7010 2.5322 O
0.2693 3.1065 4.2374 O
6.3843 1.3357 8.2317 O
-0.3260 1.9309 7.2498 O
3.7944 1.2545 8.9466 O
3.7881 3.7944 3.2472 O
1.9309 4.7167 1.5503 O
3.1118 0.3260 12.9492 O
4.7167 3.1118 7.2498 O
0.2815 1.9467 9.9641 O
3.0960 -0.2815 15.6636 O
1.9467 5.3242 4.2647 O
1.3416 3.7070 8.2317 O
-1.3357 1.3416 13.9311 O
5.3242 3.0960 9.9642 O
0.3417 6.9931 1.5176 O
1.2545 1.2483 14.6461 O
-1.2483 3.7881 8.9466 O
-3.0922 4.7010 7.2170 O
3.0922 5.3843 7.2171 O
0.3417 3.0922 12.9165 O
-0.2693 6.9788 4.2374 O
3.1065 4.7734 9.9368 O
-3.1065 5.3120 9.9368 O
3.7070 3.7010 13.9311 O
-1.3416 6.3783 8.2317 O
-0.2693 3.1065 15.6362 O
```

## Properties
Offset from the most stable computed form ... 0 meV per atom
ΔE_f ... -66.1 kcal/mol of atoms
ρ ... 4.0 g/cm³
Final energy ... -7.11 eV per atom

No. 5
The following is a DFT calculation (GGA-PBE) of a relaxed structure of U8CrSe17.

POSCAR file:
```
U8CrSe17
1.0
6.9427 -4.3627 0.0000
6.9427 4.3627 0.0000
-2.2303 0.0000 10.6246
U Cr Se
8 1 17
Cartesian
4.3288 2.2507 8.4708 U
0.6818 0.0000 10.1726 U
7.3263 2.2507 2.1538 U
3.3483 0.0000 5.1365 U
8.3068 0.0000 5.4881 U
4.3288 -2.2507 8.4708 U
10.9733 0.0000 0.4520 U
7.3263 -2.2507 2.1538 U
-1.1151 0.0000 5.3123 Cr
0.0000 0.0000 0.0000 Se
3.9106 2.7178 5.5972 Se
-0.8088 0.0000 7.7200 Se
5.1035 1.6905 0.3704 Se
2.4616 0.0000 2.3683 Se
2.5101 0.0000 7.9015 Se
7.7445 2.7178 5.0274 Se
6.5516 1.6905 10.2542 Se
5.9036 0.0000 3.5228 Se
5.7515 0.0000 7.1018 Se
5.1035 -1.6905 0.3704 Se
3.9106 -2.7178 5.5972 Se
9.1450 0.0000 2.7231 Se
9.1935 0.0000 8.2563 Se
6.5516 -1.6905 10.2542 Se
12.4639 0.0000 2.9046 Se
7.7445 -2.7178 5.0274 Se
```

## Properties
ΔE_f ... -32.9 kcal/mol of atoms
ρ ... 8.5 g/cm³
Final energy ... -7.25 eV per atom

No. 6
The following is a DFT calculation (GGA-PBE) of a relaxed structure of ReRuBr.

POSCAR file:
```
ReRuBr
1.0
0.0000 3.0443 3.0443
3.0443 0.0000 3.0443
3.0443 3.0443 0.0000
Re Ru Br
1 1 1
Cartesian
0.0000 0.0000 0.0000 Re
1.5221 1.5221 1.5221 Ru
3.0443 3.0443 3.0443 Br
```

## Properties
ΔE_f ... 26.6 kcal/mol of atoms
ρ ... 10.8 g/cm³
Final energy ... -6.45 eV per atom